Record 1
VASP calculation (PBE) on crystalline BaMgFe2S4 at its relaxed geometry.

## Properties
Its energy above the most stable polymorph in this dataset is 0.159 eV per atom. As for the formation energy: -0.93 eV/atom. Its calculated density is 4.0 Mg/m³. For the total energy, the calculation gives -5.302 eV/atom.

a = 9.6591 Å, b = 7.1741 Å, c = 6.5067 Å
α = 90.00°, β = 132.11°, γ = 90.00°
Space group C2 (No. 5)
One atom of each set of equivalent atoms:
Ba: 0.0000 0.0000 0.0000 x2
Mg: 0.0000 0.0009 0.5000 x2
Fe: 0.0000 0.4997 0.0000 x2
Fe: 0.0000 0.5000 0.5000 x2
S: 0.1667 0.3319 0.9157 x4
S: 0.1677 0.6667 0.4167 x4

---

Record 2
VASP calculation (PBE) on crystalline BaMgFe2S4 at its relaxed geometry.

## Properties
Its energy above the most stable polymorph in this dataset is 0.000 eV per atom. As for the formation energy: -1.09 eV/atom. Its calculated density is 3.8 Mg/m³. For the total energy, the calculation gives -5.460 eV/atom.

a = 5.0628 Å, b = 6.3717 Å, c = 6.6950 Å
α = 115.98°, β = 90.09°, γ = 113.36°
Space group P1 (No. 1)
One atom of each set of equivalent atoms:
Ba: 0.0000 0.0000 0.0000 x1
Mg: 0.5754 0.1529 0.5860 x1
Fe: 0.0843 0.6684 0.3680 x1
Fe: 0.5832 0.6685 0.3681 x1
S: 0.0062 0.0137 0.4759 x1
S: 0.2914 0.5844 0.0811 x1
S: 0.3880 0.7764 0.6666 x1
S: 0.6748 0.3500 0.3294 x1